Entry from the Materials Project database: a geometry-optimized RbEuO2 structure (PBE).

abc: 3.6110 3.6110 6.8637
angles: 74.75 74.75 60.00
Fractional positions:
O: 0.7734 0.7734 0.6799
O: 0.2266 0.2266 0.3201
Rb: 0.0000 0.0000 0.0000
Eu: 0.5000 0.5000 0.5000

The calculation puts the volume at 18.462 Å³/atom. For the formation energy, the calculation gives -2539 meV/atom.